The following is a DFT calculation (meta-GGA r2SCAN) of an optimized crystal structure of CeCdNi4.

**DFT formation energy**: -301.1 meV/atom
**Crystal system**: cubic
**Symmetry**: F-43m, No. 216

Unit cell a=4.9561 b=4.9561 c=4.9561 alpha=60.00 beta=60.00 gamma=60.00
Last column: nearest neighbours and their distance in Å.
Fractional coordinates of all 6 atoms:
Ni (0.1216, 0.6261, 0.6261)  6 Ni 2.46-2.50
Ni (0.6261, 0.6261, 0.6261)  6 Ni 2.46-2.50
Cd (0.0000, 0.0000, 0.0000)  12 Ni 2.90, 4 Ce 3.03-3.04
Ce (0.2500, 0.2500, 0.2500)  12 Ni 2.91, 4 Cd 3.03-3.04
Ni (0.6261, 0.1216, 0.6261)  6 Ni 2.46-2.50
Ni (0.6261, 0.6261, 0.1216)  6 Ni 2.46-2.50